Entry 1:
The following is a DFT calculation (meta-GGA r2SCAN) of an optimized crystal structure of HoAl3Ni2.

Unit cell a=8.932 b=8.932 c=4.036 alpha=90.00 beta=90.00 gamma=120.00
Element x y z (fractional)
Al 0.297 0.297 0.500
Al 0.000 0.297 0.500
Al 0.000 0.703 0.500
Al 0.297 0.000 0.500
Al 0.000 0.500 0.000
Al 0.703 0.000 0.500
Al 0.500 0.500 0.000
Al 0.703 0.703 0.500
Al 0.500 0.000 0.000
Ni 0.638 0.819 0.000
Ni 0.362 0.181 0.000
Ni 0.819 0.181 0.000
Ni 0.181 0.362 0.000
Ni 0.181 0.819 0.000
Ni 0.819 0.638 0.000
Ho 0.667 0.333 0.500
Ho 0.000 0.000 0.000
Ho 0.333 0.667 0.500

Its space group is No. 191. The calculation puts the total energy at -13.538 eV/atom. The calculation puts the formation energy at -697.5 meV per atom.

---

Entry 2:
The following is a DFT calculation (meta-GGA r2SCAN) of an optimized crystal structure of YNi5.

Unit cell a=4.843 b=4.843 c=3.906 alpha=90.00 beta=90.00 gamma=120.00
Element x y z (fractional)
Y 0.000 0.000 0.000
Ni 0.500 0.500 0.500
Ni 0.500 0.000 0.500
Ni 0.333 0.667 0.000
Ni 0.667 0.333 0.000
Ni 0.000 0.500 0.500

Its space group is No. 191. The calculation puts the total energy at -13.663 eV/atom. The calculation puts the formation energy at -293.1 meV per atom.